1.
Crystalline Na3FeO3 at its relaxed geometry. Source: the Materials Project, functional meta-GGA r2SCAN.

Computed properties:
* uncorrected energy: -7.8127 eV per atom

Lattice parameters (Å, degrees): 8.444 8.444 6.098 69.48 69.48 77.69
Positions (direct):
Na 0.748 0.794 0.619
Na 0.649 0.173 0.483
Na 0.794 0.748 0.119
Na 0.278 0.230 0.030
Na 0.980 0.038 0.777
Na 0.940 0.363 0.000
Na 0.230 0.278 0.530
Na 0.038 0.980 0.277
Na 0.363 0.940 0.500
Na 0.564 0.476 0.052
Na 0.476 0.564 0.552
Na 0.173 0.649 0.983
Fe 0.646 0.122 0.044
Fe 0.401 0.877 0.969
Fe 0.877 0.401 0.469
Fe 0.122 0.646 0.544
O 0.311 0.772 0.313
O 0.601 0.989 0.879
O 0.718 0.466 0.297
O 0.989 0.601 0.379
O 0.772 0.311 0.813
O 0.466 0.718 0.797
O 0.212 0.457 0.746
O 0.032 0.227 0.367
O 0.227 0.032 0.867
O 0.783 0.988 0.231
O 0.457 0.212 0.246
O 0.988 0.783 0.731

2.
Crystalline Na3FeO4 at its relaxed geometry. Source: the Materials Project, functional meta-GGA r2SCAN.

Computed properties:
* uncorrected energy: -7.7646 eV per atom

Lattice parameters (Å, degrees): 8.188 8.188 5.590 77.39 77.39 99.14
Positions (direct):
Na 0.637 0.882 0.518
Na 0.882 0.637 0.518
Na 0.000 0.500 0.000
Na 0.000 0.000 0.500
Na 0.743 0.257 0.500
Na 0.500 0.500 0.500
Na 0.257 0.743 0.500
Na 0.625 0.375 0.000
Na 0.375 0.625 0.000
Na 0.363 0.118 0.482
Na 0.118 0.363 0.482
Na 0.500 0.000 0.000
Fe 0.749 0.749 0.030
Fe 0.875 0.125 0.000
Fe 0.125 0.875 0.000
Fe 0.251 0.251 0.970
O 0.988 0.771 0.822
O 0.771 0.988 0.822
O 0.890 0.890 0.193
O 0.662 0.662 0.811
O 0.318 0.876 0.784
O 0.876 0.318 0.784
O 0.548 0.756 0.228
O 0.756 0.548 0.228
O 0.452 0.244 0.772
O 0.244 0.452 0.772
O 0.682 0.124 0.216
O 0.124 0.682 0.216
O 0.338 0.338 0.189
O 0.110 0.110 0.807
O 0.229 0.012 0.178
O 0.012 0.229 0.178